The following is a PBE calculation of InAgO2 after structural relaxation, from the Materials Project.

Cell: 3.336 3.336 12.827 Å, 90.00 90.00 120.00°
Sites, in units of the cell vectors:
In (0.000, 0.000, 0.000)
In (0.000, 0.000, 0.500)
Ag (0.333, 0.667, 0.250)
Ag (0.667, 0.333, 0.750)
O (0.333, 0.667, 0.085)
O (0.333, 0.667, 0.415)
O (0.667, 0.333, 0.585)
O (0.667, 0.333, 0.915)

* E_form: -1.397 eV/atom
* space group: P6_3/mmc
* energy: -0.181 Ha/atom